VASP calculation (PBE+U) on an optimized crystal structure of Na4Li3Fe2O8.

Total energy after the MP2020 corrections ... -5.604 eV per atom
Energy relative to the elements ... -1.63 eV/atom
Uncorrected energy ... -5.02 eV/atom
Crystal system ... monoclinic

a b c (Å): 6.4448 8.0740 10.3043
angles (deg): 90.00 126.37 90.00
Last column: nearest neighbours and their distance in Å.
Space group Pc (No. 7)
Inequivalent atoms, fractional coordinates:
Na 0.0000 0.0295 0.0000  4 O 2.37-2.63
Na 0.4481 0.2549 0.7409  6 O 2.41-2.51
Na 0.4638 0.4576 0.0132  3 O 2.38-2.59
Na 0.9690 0.2563 0.7429  6 O 2.29-2.48
Li 0.1428 0.3988 0.1753  3 O 1.88-1.99
Li 0.2792 0.0472 0.3353  4 O 1.85-2.01
Li 0.6159 0.2343 0.3953  4 O 1.95-1.99
Fe 0.5928 0.0369 0.1230  4 O 1.74-1.81
Fe 0.8585 0.4691 0.3864  4 O 1.77-1.85
O 0.0057 0.4630 0.2859  1 Fe 1.77, 1 Li 1.88
O 0.4019 0.1687 0.9562  1 Fe 1.76
O 0.4621 0.0529 0.2357  1 Fe 1.80, 2 Li 1.97
O 0.5102 0.4511 0.2908  1 Fe 1.85, 2 Li 1.95-1.96
O 0.5169 0.1690 0.5378  1 Fe 1.81, 2 Li 1.97-1.99
O 0.9140 0.3174 0.9492  1 Fe 1.80, 1 Li 1.99
O 0.9241 0.0352 0.2177  1 Fe 1.74, 1 Li 1.85
O 0.9799 0.2938 0.5221  1 Fe 1.81, 1 Li 1.95